# Rb2CuC2O7

A relaxed structure of Rb2CuC2O7 (PBE, Materials Project).

CIF file:
```
data_Rb2CuC2O7
_chemical_formula_sum 'Rb8 Cu4 C8 O28'
_cell_length_a 14.976
_cell_length_b 6.663
_cell_length_c 7.974
_cell_angle_alpha 87.87
_cell_angle_beta 90.00
_cell_angle_gamma 90.00
_symmetry_space_group_name_H-M 'P 1'
_symmetry_Int_Tables_number 1
_symmetry_space_group_name_Hall 'P 1'
loop_
_atom_site_label
_atom_site_type_symbol
_atom_site_fract_x
_atom_site_fract_y
_atom_site_fract_z
Rb1 Rb 0.396 0.734 0.917
Rb2 Rb 0.400 0.245 0.592
Rb3 Rb 0.600 0.755 0.408
Rb4 Rb 0.104 0.234 0.917
Rb5 Rb 0.604 0.266 0.083
Rb6 Rb 0.896 0.766 0.083
Rb7 Rb 0.900 0.255 0.408
Rb8 Rb 0.100 0.745 0.592
O1 O 0.585 0.320 0.453
O2 O 0.277 0.711 0.424
O3 O 0.116 0.416 0.343
O4 O 0.579 0.777 0.039
O5 O 0.777 0.789 0.576
O6 O 0.288 0.111 0.057
O7 O 0.756 0.531 0.256
O8 O 0.085 0.180 0.547
O9 O 0.723 0.289 0.576
O10 O 0.212 0.611 0.057
O11 O 0.421 0.223 0.961
O12 O 0.146 0.881 0.169
O13 O 0.079 0.723 0.961
O14 O 0.921 0.277 0.039
O15 O 0.744 0.031 0.256
O16 O 0.788 0.389 0.943
O17 O 0.415 0.680 0.547
O18 O 0.223 0.211 0.424
O19 O 0.712 0.889 0.943
O20 O 0.616 0.084 0.657
O21 O 0.915 0.820 0.453
O22 O 0.256 0.969 0.744
O23 O 0.884 0.584 0.657
O24 O 0.854 0.119 0.831
O25 O 0.244 0.469 0.744
O26 O 0.384 0.916 0.343
O27 O 0.354 0.381 0.169
O28 O 0.646 0.619 0.831
C1 C 0.138 0.263 0.446
C2 C 0.644 0.763 0.940
C3 C 0.362 0.763 0.446
C4 C 0.144 0.737 0.060
C5 C 0.856 0.263 0.940
C6 C 0.862 0.737 0.554
C7 C 0.638 0.237 0.554
C8 C 0.356 0.237 0.060
Cu1 Cu 0.235 0.429 0.248
Cu2 Cu 0.765 0.571 0.752
Cu3 Cu 0.265 0.929 0.248
Cu4 Cu 0.735 0.071 0.752
```

Summary:
**Final energy**: -6.10 eV per atom
**V**: 795.1 Å³ per cell
**Spin magnetization**: 8.0 μB/cell